[1]
A geometry-optimized Li9Mn7O16 structure, computed with PBE with a Hubbard U.

Cell and atoms, written as POSCAR:
```
Li9Mn7O16
1.0
11.4764 0.0000 0.0000
0.0000 5.2771 0.0000
0.0000 2.1299 4.8944
O Mn Li
16 7 9
direct
0.1298 0.7917 0.7646 O
0.5000 0.2346 0.7787 O
0.8702 0.2083 0.2354 O
0.0000 0.2364 0.7803 O
0.7527 0.7647 0.2256 O
0.3748 0.2328 0.2758 O
0.2473 0.7647 0.2256 O
0.0000 0.7636 0.2197 O
0.7527 0.2353 0.7744 O
0.6252 0.2328 0.2758 O
0.2473 0.2353 0.7744 O
0.5000 0.7654 0.2213 O
0.3748 0.7672 0.7242 O
0.1298 0.2083 0.2354 O
0.6252 0.7672 0.7242 O
0.8702 0.7917 0.7646 O
0.2470 0.0000 0.5000 Mn
0.1234 0.0000 0.0000 Mn
0.5000 0.0000 0.5000 Mn
0.3738 0.0000 0.0000 Mn
0.6262 0.0000 0.0000 Mn
0.8766 0.0000 0.0000 Mn
0.7530 0.0000 0.5000 Mn
0.5000 0.5000 0.0000 Li
0.6241 0.5000 0.5000 Li
0.1213 0.5000 0.5000 Li
0.2482 0.5000 0.0000 Li
0.7518 0.5000 0.0000 Li
0.0000 0.5000 0.0000 Li
0.3759 0.5000 0.5000 Li
0.0000 0.0000 0.5000 Li
0.8787 0.5000 0.5000 Li
```

Properties
ΔE to the lowest computed polymorph	3	meV/atom


[2]
A geometry-optimized Sr2DyWO6 structure, computed with PBE with a Hubbard U.

Cell and atoms, written as POSCAR:
```
Sr2DyWO6
1.0
0.0000 -4.2018 -4.2018
4.2018 0.0000 -4.2018
4.2018 -4.2018 0.0000
O Sr Dy W
6 2 1 1
direct
0.2631 0.7369 0.7369 O
0.7369 0.7369 0.2631 O
0.7369 0.2631 0.7369 O
0.2631 0.7369 0.2631 O
0.7369 0.2631 0.2631 O
0.2631 0.2631 0.7369 O
0.2500 0.2500 0.2500 Sr
0.7500 0.7500 0.7500 Sr
0.0000 0.0000 0.0000 Dy
0.5000 0.5000 0.5000 W
```


[3]
A geometry-optimized VCuO3 structure, computed with PBE with a Hubbard U.

Cell and atoms, written as POSCAR:
```
VCuO3
1.0
-0.1867 -2.6423 5.7684
4.1414 4.8104 0.0093
-5.7666 2.1755 -1.5184
O V Cu
12 4 4
direct
0.1221 0.8190 0.3031 O
0.1810 0.3031 0.4841 O
0.6969 0.8779 0.1810 O
0.3031 0.4841 0.1810 O
0.4841 0.1810 0.3031 O
0.1810 0.6969 0.8779 O
0.3031 0.1221 0.8190 O
0.8190 0.6969 0.5159 O
0.8779 0.1810 0.6969 O
0.6969 0.5159 0.8190 O
0.5159 0.8190 0.6969 O
0.8190 0.3031 0.1221 O
0.5000 0.5000 0.5000 V
0.0000 0.0000 0.5000 V
0.5000 0.0000 0.0000 V
0.0000 0.5000 0.0000 V
0.0000 0.5000 0.5000 Cu
0.5000 0.0000 0.5000 Cu
0.0000 0.0000 0.0000 Cu
0.5000 0.5000 0.0000 Cu
```


[4]
A geometry-optimized Rb2U2Mo3O16 structure, computed with PBE with a Hubbard U.

Cell and atoms, written as POSCAR:
```
Rb2U2Mo3O16
1.0
8.4942 0.0000 0.0000
0.0000 9.8812 0.0000
0.0000 0.0000 20.4642
O Mo Rb U
64 12 8 8
direct
0.6736 0.1721 0.3819 O
0.9792 0.2712 0.4333 O
0.1783 0.5772 0.9817 O
0.9276 0.7217 0.7642 O
0.4560 0.9180 0.6880 O
0.4792 0.7712 0.0667 O
0.5426 0.5742 0.9681 O
0.8217 0.0772 0.0183 O
0.4276 0.2217 0.7358 O
0.8844 0.6538 0.1929 O
0.8161 0.1850 0.7408 O
0.1151 0.2777 0.6856 O
0.1276 0.9716 0.6968 O
0.1736 0.6721 0.1181 O
0.8589 0.2744 0.5845 O
0.3844 0.1538 0.3071 O
0.0208 0.7712 0.5667 O
0.1088 0.4754 0.5818 O
0.1411 0.7744 0.4155 O
0.3724 0.9716 0.1968 O
0.3161 0.6850 0.7592 O
0.6783 0.0772 0.5183 O
0.5208 0.2712 0.9333 O
0.3133 0.8854 0.5200 O
0.8339 0.6351 0.8934 O
0.0440 0.9180 0.1880 O
0.9574 0.5742 0.4681 O
0.0724 0.2217 0.2358 O
0.1839 0.6850 0.2592 O
0.4574 0.0742 0.0319 O
0.3264 0.1529 0.4646 O
0.3849 0.2777 0.1856 O
0.6736 0.6529 0.5354 O
0.1736 0.1529 0.9646 O
0.6366 0.4824 0.1835 O
0.1366 0.9824 0.3165 O
0.8634 0.4824 0.6835 O
0.6276 0.4716 0.8032 O
0.3912 0.4754 0.0818 O
0.1661 0.1351 0.1066 O
0.3217 0.5772 0.4817 O
0.3634 0.9824 0.8165 O
0.8724 0.4716 0.3032 O
0.0426 0.0742 0.5319 O
0.5724 0.7217 0.2642 O
0.6151 0.7777 0.8144 O
0.6867 0.3854 0.4800 O
0.8264 0.6529 0.0354 O
0.1867 0.8854 0.0200 O
0.1156 0.1538 0.8071 O
0.3264 0.6721 0.6181 O
0.9560 0.4180 0.8120 O
0.5440 0.4180 0.3120 O
0.8133 0.3854 0.9800 O
0.8912 0.9754 0.4182 O
0.8849 0.7777 0.3144 O
0.8264 0.1721 0.8819 O
0.6156 0.6538 0.6929 O
0.6411 0.2744 0.0845 O
0.6088 0.9754 0.9182 O
0.6661 0.6351 0.3934 O
0.6839 0.1850 0.2408 O
0.3589 0.7744 0.9155 O
0.3339 0.1351 0.6066 O
0.4861 0.8762 0.8655 Mo
0.9861 0.3762 0.6345 Mo
0.5139 0.3762 0.1345 Mo
0.9244 0.2350 0.8093 Mo
0.5756 0.2350 0.3093 Mo
0.7551 0.5616 0.9689 Mo
0.0139 0.8762 0.3655 Mo
0.0756 0.7350 0.1907 Mo
0.2551 0.0616 0.5311 Mo
0.7449 0.5616 0.4689 Mo
0.2449 0.0616 0.0311 Mo
0.4244 0.7350 0.6907 Mo
0.0143 0.8927 0.8916 Rb
0.8040 0.9371 0.6446 Rb
0.1960 0.4371 0.3554 Rb
0.6960 0.9371 0.1446 Rb
0.9857 0.3927 0.1084 Rb
0.4857 0.8927 0.3916 Rb
0.3040 0.4371 0.8554 Rb
0.5143 0.3927 0.6084 Rb
0.8274 0.1769 0.4757 U
0.1726 0.6769 0.5243 U
0.7189 0.5933 0.2824 U
0.2811 0.0933 0.7176 U
0.2189 0.0933 0.2176 U
0.7811 0.5933 0.7824 U
0.6726 0.1769 0.9757 U
0.3274 0.6769 0.0243 U
```


[5]
A geometry-optimized Li3V3P8O29 structure, computed with PBE with a Hubbard U.

Cell and atoms, written as POSCAR:
```
Li3V3P8O29
1.0
4.8744 8.4095 0.0000
-4.8744 8.4095 0.0000
0.0000 0.1091 14.1258
O Li V P
58 6 6 16
direct
0.5385 0.0810 0.8329 O
0.6531 0.0820 0.3300 O
0.4885 0.3298 0.6740 O
0.6172 0.9203 0.6735 O
0.2602 0.6579 0.3373 O
0.7427 0.9131 0.1646 O
0.6719 0.6521 0.9731 O
0.3803 0.5273 0.8239 O
0.7877 0.0058 0.5762 O
0.7641 0.2179 0.4303 O
0.2041 0.7959 0.7500 O
0.7959 0.2041 0.2500 O
0.9131 0.7427 0.6646 O
0.3421 0.7398 0.1627 O
0.4727 0.6197 0.6761 O
0.7821 0.2359 0.0697 O
0.6197 0.4727 0.1761 O
0.0058 0.7877 0.0762 O
0.4793 0.1876 0.1752 O
0.3298 0.4885 0.1740 O
0.9992 0.7998 0.2533 O
0.7398 0.3421 0.6627 O
0.3479 0.3281 0.5269 O
0.6702 0.5115 0.8260 O
0.2002 0.0008 0.2467 O
0.0008 0.2002 0.7467 O
0.1863 0.3364 0.1804 O
0.5273 0.3803 0.3239 O
0.0810 0.5385 0.3329 O
0.6636 0.8137 0.3196 O
0.0869 0.2573 0.3354 O
0.8124 0.5207 0.3248 O
0.2123 0.9942 0.4238 O
0.7914 0.0090 0.9326 O
0.9942 0.2123 0.9238 O
0.7998 0.9992 0.7533 O
0.0797 0.3828 0.8265 O
0.5115 0.6702 0.3260 O
0.3364 0.1863 0.6804 O
0.9180 0.3469 0.1700 O
0.2086 0.9910 0.0674 O
0.9910 0.2086 0.5674 O
0.5207 0.8124 0.8248 O
0.2359 0.7821 0.5697 O
0.4615 0.9190 0.1671 O
0.8137 0.6636 0.8196 O
0.9203 0.6172 0.1735 O
0.3281 0.3479 0.0269 O
0.6521 0.6719 0.4731 O
0.6579 0.2602 0.8373 O
0.0820 0.6531 0.8300 O
0.2573 0.0869 0.8354 O
0.3469 0.9180 0.6700 O
0.2179 0.7641 0.9303 O
0.1876 0.4793 0.6752 O
0.3828 0.0797 0.3265 O
0.9190 0.4615 0.6671 O
0.0090 0.7914 0.4326 O
0.6702 0.2324 0.5551 Li
0.0000 0.0000 0.0000 Li
0.2324 0.6702 0.0551 Li
0.7676 0.3298 0.9449 Li
0.3298 0.7676 0.4449 Li
0.0000 0.0000 0.5000 Li
0.5649 0.9973 0.2453 V
0.9973 0.5649 0.7453 V
0.0027 0.4351 0.2547 V
0.4351 0.0027 0.7547 V
0.5651 0.4349 0.7500 V
0.4349 0.5651 0.2500 V
0.2233 0.0821 0.3400 P
0.6853 0.2214 0.3398 P
0.6968 0.0828 0.8467 P
0.6679 0.6646 0.8684 P
0.7786 0.3147 0.1602 P
0.3321 0.3354 0.1316 P
0.7767 0.9179 0.6600 P
0.6646 0.6679 0.3684 P
0.9179 0.7767 0.1600 P
0.3032 0.9172 0.1533 P
0.3147 0.7786 0.6602 P
0.2214 0.6853 0.8398 P
0.3354 0.3321 0.6316 P
0.0828 0.6968 0.3467 P
0.9172 0.3032 0.6533 P
0.0821 0.2233 0.8400 P
```

Properties
ΔE to the lowest computed polymorph	9	meV/atom


[6]
A geometry-optimized Mn2C3O9 structure, computed with PBE with a Hubbard U.

Cell and atoms, written as POSCAR:
```
Mn2C3O9
1.0
-3.0867 5.6064 4.1940
2.6003 -5.2522 4.9520
6.1581 2.9225 -3.5546
Mn C O
4 6 18
direct
0.8206 0.4760 0.9565 Mn
0.4567 0.4506 0.4581 Mn
0.4755 0.9553 0.8196 Mn
0.9406 0.8087 0.4698 Mn
0.5860 0.3771 0.1858 C
0.7440 0.8339 0.0860 C
0.1951 0.5898 0.3896 C
0.0830 0.7448 0.8335 C
0.3759 0.1920 0.5822 C
0.8383 0.0865 0.7476 C
0.9089 0.2589 0.8899 O
0.5641 0.3100 0.6353 O
0.3023 0.6496 0.5778 O
0.2524 0.8893 0.8987 O
0.6656 0.9469 0.6973 O
0.6921 0.6636 0.9439 O
0.6514 0.9458 0.0560 O
0.9466 0.0505 0.6535 O
0.2522 0.4883 0.2686 O
0.6489 0.5660 0.2976 O
0.4814 0.2505 0.2299 O
0.0366 0.6199 0.3160 O
0.2451 0.2389 0.4821 O
0.8898 0.9011 0.2576 O
0.9370 0.6896 0.6615 O
0.0539 0.6533 0.9455 O
0.6226 0.3141 0.0281 O
0.3221 0.0374 0.6207 O
```

Properties
ΔE to the lowest computed polymorph	0	meV/atom


[7]
A geometry-optimized Sr2Ca6Mn5Fe3O20 structure, computed with PBE with a Hubbard U.

Cell and atoms, written as POSCAR:
```
Sr2Ca6Mn5Fe3O20
1.0
0.0007 0.0073 10.9576
11.1433 0.0038 0.0007
-5.5671 15.5551 -5.4691
O Ca Mn Sr Fe
80 24 20 8 12
direct
0.1378 0.3787 0.0152 O
0.1254 0.1226 0.9876 O
0.8237 0.7960 0.6341 O
0.6372 0.3819 0.5096 O
0.1925 0.7074 0.3646 O
0.1968 0.7100 0.8673 O
0.3789 0.6236 0.9940 O
0.6905 0.2066 0.8641 O
0.4487 0.4020 0.3657 O
0.8813 0.8772 0.5020 O
0.8741 0.1159 0.4897 O
0.6898 0.2070 0.3639 O
0.3803 0.3753 0.5037 O
0.3703 0.1183 0.4870 O
0.3264 0.2852 0.1293 O
0.1230 0.6254 0.9928 O
0.0697 0.5842 0.6332 O
0.9250 0.0565 0.2397 O
0.4503 0.9109 0.8663 O
0.3228 0.7977 0.6336 O
0.1278 0.1178 0.4894 O
0.4422 0.5770 0.7583 O
0.9274 0.5757 0.7518 O
0.3255 0.2953 0.6327 O
0.8857 0.3820 0.0120 O
0.6250 0.6204 0.9890 O
0.5763 0.5890 0.6351 O
0.4273 0.0717 0.2493 O
0.8285 0.7863 0.1343 O
0.4461 0.4108 0.8679 O
0.3299 0.7926 0.1359 O
0.6214 0.1192 0.4857 O
0.6754 0.9232 0.7505 O
0.3730 0.6182 0.4873 O
0.9232 0.5760 0.2485 O
0.1914 0.9288 0.7596 O
0.1328 0.3770 0.5042 O
0.8741 0.1178 0.9872 O
0.1802 0.9203 0.2490 O
0.3822 0.8816 0.5093 O
0.3726 0.1191 0.9926 O
0.0799 0.5935 0.1351 O
0.3859 0.3828 0.0166 O
0.9311 0.0659 0.7580 O
0.1317 0.8803 0.5047 O
0.8719 0.6172 0.4877 O
0.6235 0.6199 0.4878 O
0.0773 0.0795 0.6341 O
0.5771 0.0849 0.6339 O
0.3859 0.8832 0.0123 O
0.9449 0.9041 0.8665 O
0.6762 0.9275 0.2500 O
0.8320 0.2909 0.1362 O
0.6284 0.1198 0.9935 O
0.9446 0.4052 0.8660 O
0.8871 0.8829 0.0140 O
0.5797 0.5948 0.1357 O
0.6371 0.3812 0.0145 O
0.6299 0.8740 0.5061 O
0.9440 0.9100 0.3626 O
0.9423 0.4141 0.3618 O
0.1364 0.8816 0.0122 O
0.8807 0.3834 0.5051 O
0.8247 0.3010 0.6356 O
0.4415 0.9061 0.3644 O
0.1198 0.6191 0.4866 O
0.0858 0.0994 0.1319 O
0.1893 0.4421 0.7511 O
0.6936 0.7064 0.3633 O
0.1968 0.2101 0.8743 O
0.6349 0.8785 0.0127 O
0.1723 0.4329 0.2498 O
0.1920 0.2078 0.3663 O
0.4297 0.5785 0.2498 O
0.6855 0.4368 0.7590 O
0.5798 0.0941 0.1363 O
0.4293 0.0663 0.7429 O
0.8736 0.6176 0.9884 O
0.6775 0.4266 0.2489 O
0.6997 0.7147 0.8672 O
0.0563 0.7933 0.1073 Ca
0.9489 0.7076 0.8945 Ca
0.8072 0.5614 0.6062 Ca
0.4486 0.7059 0.3919 Ca
0.9514 0.2052 0.8951 Ca
0.5580 0.7946 0.6060 Ca
0.5565 0.7945 0.1084 Ca
0.4516 0.7079 0.8960 Ca
0.3047 0.0645 0.1081 Ca
0.2003 0.9379 0.8964 Ca
0.7007 0.9382 0.8935 Ca
0.8053 0.0620 0.1055 Ca
0.7010 0.4380 0.8956 Ca
0.8066 0.5630 0.1077 Ca
0.1985 0.9350 0.3909 Ca
0.3060 0.0595 0.6041 Ca
0.0578 0.2954 0.1093 Ca
0.4498 0.2062 0.3906 Ca
0.1991 0.4365 0.3906 Ca
0.6981 0.9353 0.3911 Ca
0.5559 0.2939 0.1086 Ca
0.6951 0.4363 0.3912 Ca
0.9473 0.7047 0.3900 Ca
0.3069 0.5660 0.1095 Ca
0.3670 0.4049 0.7519 Mn
0.8576 0.4067 0.2481 Mn
0.6066 0.0963 0.2494 Mn
0.1093 0.6024 0.7514 Mn
0.1136 0.0951 0.7555 Mn
0.6099 0.0944 0.7493 Mn
0.2565 0.2509 0.0029 Mn
0.6075 0.5976 0.2493 Mn
0.2534 0.2479 0.4956 Mn
0.0023 0.4995 0.4963 Mn
0.6161 0.6054 0.7535 Mn
0.1124 0.0933 0.2470 Mn
0.3636 0.9010 0.7510 Mn
0.0050 0.9993 0.4984 Mn
0.1097 0.5984 0.2494 Mn
0.8591 0.8983 0.7524 Mn
0.8601 0.4064 0.7529 Mn
0.8587 0.8985 0.2470 Mn
0.3592 0.4035 0.2483 Mn
0.3582 0.9010 0.2496 Mn
0.0583 0.8017 0.6105 Sr
0.1997 0.4416 0.8926 Sr
0.3093 0.5605 0.6103 Sr
0.9464 0.1983 0.3853 Sr
0.0592 0.2989 0.6094 Sr
0.5594 0.3009 0.6107 Sr
0.8083 0.0588 0.6107 Sr
0.4489 0.1996 0.8904 Sr
0.5064 0.0008 0.0025 Fe
0.2530 0.7489 0.4972 Fe
0.5030 0.4972 0.4949 Fe
0.0060 0.5004 0.0020 Fe
0.5025 0.9984 0.4968 Fe
0.7567 0.2504 0.0016 Fe
0.0072 0.0026 0.0023 Fe
0.7531 0.2495 0.4976 Fe
0.7561 0.7503 0.0008 Fe
0.5069 0.5010 0.0027 Fe
0.2561 0.7525 0.0022 Fe
0.7526 0.7474 0.4964 Fe
```


Computed MP2020-corrected energy (eV per atom) in order:
-7.157; -8.103; -7.343; -8.553; -7.635; -8.282; -7.615